Record 1
Hg3Sb | PBE | optimized geometry

```
data_Hg3Sb
_chemical_formula_sum 'Hg3 Sb1'
_symmetry_space_group_name_H-M 'P 1'
_symmetry_Int_Tables_number 1
_symmetry_space_group_name_Hall 'P 1'
_cell_length_a 6.2475
_cell_length_b 6.2475
_cell_length_c 6.2475
_cell_angle_alpha 138.74
_cell_angle_beta 138.74
_cell_angle_gamma 59.77
loop_
_atom_site_label
_atom_site_type_symbol
_atom_site_fract_x
_atom_site_fract_y
_atom_site_fract_z
Hg1 Hg 0.7500 0.2500 0.5000
Hg2 Hg 0.2500 0.7500 0.5000
Hg3 Hg 0.5000 0.5000 0.0000
Sb1 Sb 0.0000 0.0000 0.0000
```

Results
relative energy among the computed polymorphs: 0 meV per atom
corrected total energy (MP2020 scheme): -1.1532 eV per atom
symmetry: I4/mmm

Record 2
SiO2 | PBE | optimized geometry

```
data_SiO2
_chemical_formula_sum 'Si30 O60'
_symmetry_space_group_name_H-M 'P 1'
_symmetry_Int_Tables_number 1
_symmetry_space_group_name_Hall 'P 1'
_cell_length_a 11.2358
_cell_length_b 11.1201
_cell_length_c 11.5075
_cell_angle_alpha 90.41
_cell_angle_beta 90.75
_cell_angle_gamma 89.58
loop_
_atom_site_label
_atom_site_type_symbol
_atom_site_fract_x
_atom_site_fract_y
_atom_site_fract_z
Si1 Si 0.1607 0.5152 0.2022
Si2 Si 0.7006 0.0908 0.8144
Si3 Si 0.1451 0.6052 0.9532
Si4 Si 0.9734 0.7533 0.0901
Si5 Si 0.1360 0.7921 0.2830
Si6 Si 0.9095 0.9135 0.7125
Si7 Si 0.2779 0.7711 0.6321
Si8 Si 0.1759 0.3884 0.5425
Si9 Si 0.0812 0.8863 0.5235
Si10 Si 0.0943 0.0552 0.8340
Si11 Si 0.3522 0.4929 0.3661
Si12 Si 0.3376 0.1064 0.9276
Si13 Si 0.5234 0.0578 0.0160
Si14 Si 0.7454 0.7308 0.6031
Si15 Si 0.7811 0.5055 0.4416
Si16 Si 0.2897 0.3192 0.7646
Si17 Si 0.8967 0.2569 0.8901
Si18 Si 0.3662 0.5843 0.8164
Si19 Si 0.6214 0.6943 0.8292
Si20 Si 0.6244 0.9100 0.4225
Si21 Si 0.5686 0.3106 0.4222
Si22 Si 0.0573 0.4282 0.7732
Si23 Si 0.2624 0.0214 0.6350
Si24 Si 0.5237 0.1105 0.5985
Si25 Si 0.8425 0.2841 0.1606
Si26 Si 0.7979 0.5693 0.1914
Si27 Si 0.3876 0.7712 0.3791
Si28 Si 0.7347 0.7247 0.0002
Si29 Si 0.6484 0.1022 0.2437
Si30 Si 0.9986 0.3550 0.3570
O1 O 0.2839 0.6321 0.9234
O2 O 0.6811 0.4007 0.4384
O3 O 0.7460 0.1753 0.1677
O4 O 0.3576 0.7810 0.5160
O5 O 0.9303 0.3746 0.8129
O6 O 0.1880 0.9865 0.5158
O7 O 0.2513 0.4884 0.4695
O8 O 0.6993 0.6445 0.1138
O9 O 0.8508 0.8094 0.0310
O10 O 0.1345 0.7723 0.6006
O11 O 0.0770 0.5564 0.8373
O12 O 0.0562 0.8323 0.3946
O13 O 0.7448 0.6311 0.8852
O14 O 0.6463 0.0601 0.9417
O15 O 0.1986 0.0619 0.9368
O16 O 0.1586 0.3339 0.8229
O17 O 0.7700 0.5933 0.3281
O18 O 0.7966 0.9942 0.7591
O19 O 0.9086 0.4347 0.4375
O20 O 0.9911 0.1496 0.8668
O21 O 0.4244 0.9832 0.9328
O22 O 0.9260 0.6296 0.1545
O23 O 0.4240 0.1730 0.0283
O24 O 0.3805 0.0946 0.6043
O25 O 0.5037 0.6152 0.8427
O26 O 0.5133 0.8401 0.3574
O27 O 0.0568 0.4368 0.2580
O28 O 0.6231 0.7992 0.9366
O29 O 0.5622 0.0310 0.1502
O30 O 0.9648 0.9494 0.5843
O31 O 0.9282 0.2556 0.2758
O32 O 0.0210 0.9283 0.8076
O33 O 0.0491 0.8430 0.1771
O34 O 0.2768 0.8318 0.3015
O35 O 0.5729 0.0022 0.5185
O36 O 0.2716 0.3129 0.6224
O37 O 0.4541 0.3935 0.3910
O38 O 0.3649 0.4393 0.7978
O39 O 0.3515 0.1994 0.8180
O40 O 0.7709 0.5938 0.5554
O41 O 0.2896 0.4593 0.2409
O42 O 0.1016 0.3048 0.4473
O43 O 0.0693 0.7237 0.9895
O44 O 0.6323 0.7317 0.6932
O45 O 0.8996 0.2792 0.0309
O46 O 0.4072 0.6276 0.3539
O47 O 0.8583 0.7782 0.6835
O48 O 0.3168 0.6507 0.6996
O49 O 0.7914 0.4233 0.1715
O50 O 0.6964 0.9919 0.3278
O51 O 0.1637 0.0915 0.7148
O52 O 0.7676 0.2185 0.8371
O53 O 0.5510 0.2422 0.5449
O54 O 0.5836 0.2071 0.3217
O55 O 0.7133 0.8167 0.4917
O56 O 0.3023 0.8971 0.7043
O57 O 0.5896 0.1045 0.7242
O58 O 0.1464 0.5113 0.0619
O59 O 0.1485 0.6485 0.2603
O60 O 0.0785 0.4464 0.6336
```

Results
corrected total energy (MP2020 scheme): -8.2590 eV per atom
symmetry: P1

Record 3
K3AuF6 | PBE | optimized geometry

```
data_K3AuF6
_chemical_formula_sum 'K3 Au1 F6'
_symmetry_space_group_name_H-M 'P 1'
_symmetry_Int_Tables_number 1
_symmetry_space_group_name_Hall 'P 1'
_cell_length_a 6.9810
_cell_length_b 8.3186
_cell_length_c 7.0070
_cell_angle_alpha 126.92
_cell_angle_beta 74.76
_cell_angle_gamma 98.19
loop_
_atom_site_label
_atom_site_type_symbol
_atom_site_fract_x
_atom_site_fract_y
_atom_site_fract_z
K1 K 0.5000 0.0000 0.0000
K2 K 0.0000 0.5000 0.5000
K3 K 0.0000 0.0000 0.5000
Au1 Au 0.0000 0.0000 0.0000
F1 F 0.7798 0.1068 0.2943
F2 F 0.2202 0.8932 0.7057
F3 F 0.7880 0.7957 0.6441
F4 F 0.2120 0.2043 0.3559
F5 F 0.0462 0.7697 0.9997
F6 F 0.9538 0.2303 0.0003
```

Results
corrected total energy (MP2020 scheme): -4.1140 eV per atom
symmetry: P-1

Record 4
KCaF3 | PBE | optimized geometry

```
data_KCaF3
_chemical_formula_sum 'K1 Ca1 F3'
_symmetry_space_group_name_H-M 'P 1'
_symmetry_Int_Tables_number 1
_symmetry_space_group_name_Hall 'P 1'
_cell_length_a 4.4817
_cell_length_b 4.4817
_cell_length_c 4.4817
_cell_angle_alpha 90.00
_cell_angle_beta 90.00
_cell_angle_gamma 90.00
loop_
_atom_site_label
_atom_site_type_symbol
_atom_site_fract_x
_atom_site_fract_y
_atom_site_fract_z
K1 K 0.5000 0.5000 0.5000
Ca1 Ca 0.0000 0.0000 0.0000
F1 F 0.0000 0.5000 0.0000
F2 F 0.0000 0.0000 0.5000
F3 F 0.5000 0.0000 0.0000
```

Results
corrected total energy (MP2020 scheme): -5.4711 eV per atom
symmetry: Pm-3m

Record 5
MgSi2 | PBE | optimized geometry

```
data_MgSi2
_chemical_formula_sum 'Mg2 Si4'
_symmetry_space_group_name_H-M 'P 1'
_symmetry_Int_Tables_number 1
_symmetry_space_group_name_Hall 'P 1'
_cell_length_a 9.7422
_cell_length_b 9.7422
_cell_length_c 9.7422
_cell_angle_alpha 22.19
_cell_angle_beta 22.19
_cell_angle_gamma 22.19
loop_
_atom_site_label
_atom_site_type_symbol
_atom_site_fract_x
_atom_site_fract_y
_atom_site_fract_z
Mg1 Mg 0.9177 0.9177 0.9177
Mg2 Mg 0.0823 0.0823 0.0823
Si1 Si 0.3513 0.3513 0.3513
Si2 Si 0.1852 0.1852 0.1852
Si3 Si 0.6487 0.6487 0.6487
Si4 Si 0.8148 0.8148 0.8148
```

Results
relative energy among the computed polymorphs: 43 meV per atom
corrected total energy (MP2020 scheme): -4.0295 eV per atom
symmetry: R-3m

Record 6
U2CoSe2S3 | PBE | optimized geometry

```
data_U2CoSe2S3
_chemical_formula_sum 'U4 Co2 Se4 S6'
_symmetry_space_group_name_H-M 'P 1'
_symmetry_Int_Tables_number 1
_symmetry_space_group_name_Hall 'P 1'
_cell_length_a 6.2369
_cell_length_b 7.1348
_cell_length_c 7.9909
_cell_angle_alpha 96.88
_cell_angle_beta 67.03
_cell_angle_gamma 90.00
loop_
_atom_site_label
_atom_site_type_symbol
_atom_site_fract_x
_atom_site_fract_y
_atom_site_fract_z
U1 U 0.6765 0.5822 0.1955
U2 U 0.8720 0.9178 0.8045
U3 U 0.3235 0.4178 0.8045
U4 U 0.1280 0.0822 0.1955
Co1 Co 0.5000 0.0000 0.5000
Co2 Co 0.0000 0.5000 0.5000
Se1 Se 0.3019 0.6925 0.5616
Se2 Se 0.8636 0.8075 0.4384
Se3 Se 0.6981 0.3075 0.4384
Se4 Se 0.1364 0.1925 0.5616
S1 S 0.0840 0.7500 0.0000
S2 S 0.9160 0.2500 0.0000
S3 S 0.5295 0.9251 0.1801
S4 S 0.7095 0.5749 0.8199
S5 S 0.4705 0.0749 0.8199
S6 S 0.2905 0.4251 0.1801
```

Results
corrected total energy (MP2020 scheme): -7.3501 eV per atom
symmetry: C2/c

Record 7
Be46Ru7 | PBE | optimized geometry

```
data_Be46Ru7
_chemical_formula_sum 'Be46 Ru7'
_symmetry_space_group_name_H-M 'P 1'
_symmetry_Int_Tables_number 1
_symmetry_space_group_name_Hall 'P 1'
_cell_length_a 4.1802
_cell_length_b 4.1802
_cell_length_c 32.8440
_cell_angle_alpha 90.00
_cell_angle_beta 90.00
_cell_angle_gamma 120.00
loop_
_atom_site_label
_atom_site_type_symbol
_atom_site_fract_x
_atom_site_fract_y
_atom_site_fract_z
Be1 Be 0.3333 0.6667 0.8757
Be2 Be 0.3333 0.6667 0.5413
Be3 Be 0.3333 0.6667 0.2073
Be4 Be 0.3333 0.6667 0.7910
Be5 Be 0.3333 0.6667 0.4593
Be6 Be 0.3333 0.6667 0.1253
Be7 Be 0.0000 0.0000 0.8856
Be8 Be 0.0000 0.0000 0.5522
Be9 Be 0.0000 0.0000 0.2189
Be10 Be 0.0000 0.0000 0.7813
Be11 Be 0.0000 0.0000 0.4479
Be12 Be 0.0000 0.0000 0.1143
Be13 Be 0.1699 0.8301 0.9382
Be14 Be 0.1667 0.8333 0.6056
Be15 Be 0.1708 0.8292 0.2701
Be16 Be 0.1699 0.3398 0.9382
Be17 Be 0.1667 0.3334 0.6056
Be18 Be 0.1708 0.3417 0.2701
Be19 Be 0.6602 0.8301 0.9382
Be20 Be 0.6666 0.8333 0.6056
Be21 Be 0.6583 0.8292 0.2701
Be22 Be 0.1669 0.8331 0.7275
Be23 Be 0.1710 0.8290 0.3967
Be24 Be 0.1697 0.8303 0.0618
Be25 Be 0.1669 0.3337 0.7275
Be26 Be 0.1710 0.3420 0.3967
Be27 Be 0.1697 0.3394 0.0618
Be28 Be 0.6663 0.8331 0.7275
Be29 Be 0.6580 0.8290 0.3967
Be30 Be 0.6606 0.8303 0.0618
Be31 Be 0.6667 0.3333 0.9675
Be32 Be 0.6667 0.3333 0.6344
Be33 Be 0.6667 0.3333 0.3024
Be34 Be 0.6667 0.3333 0.6993
Be35 Be 0.6667 0.3333 0.3640
Be36 Be 0.6667 0.3333 0.0324
Be37 Be 0.8295 0.1705 0.8338
Be38 Be 0.8298 0.1702 0.4998
Be39 Be 0.8298 0.1702 0.1664
Be40 Be 0.8295 0.6590 0.8338
Be41 Be 0.8298 0.6596 0.4998
Be42 Be 0.8298 0.6596 0.1664
Be43 Be 0.3410 0.1705 0.8338
Be44 Be 0.3404 0.1702 0.4998
Be45 Be 0.3404 0.1702 0.1664
Be46 Be 0.0000 0.0000 0.6667
Ru1 Ru 0.6667 0.3333 0.8991
Ru2 Ru 0.6667 0.3333 0.5646
Ru3 Ru 0.6667 0.3333 0.2311
Ru4 Ru 0.6667 0.3333 0.7695
Ru5 Ru 0.6667 0.3333 0.4349
Ru6 Ru 0.6667 0.3333 0.1009
Ru7 Ru 0.3333 0.6667 0.3332
```

Results
symmetry: P3m1

Record 8
TeBr6 | PBE | optimized geometry

```
data_TeBr6
_chemical_formula_sum 'Te2 Br12'
_symmetry_space_group_name_H-M 'P 1'
_symmetry_Int_Tables_number 1
_symmetry_space_group_name_Hall 'P 1'
_cell_length_a 7.4280
_cell_length_b 7.4280
_cell_length_c 11.0806
_cell_angle_alpha 90.00
_cell_angle_beta 90.00
_cell_angle_gamma 90.00
loop_
_atom_site_label
_atom_site_type_symbol
_atom_site_fract_x
_atom_site_fract_y
_atom_site_fract_z
Te1 Te 0.5000 0.5000 0.5000
Te2 Te 0.0000 0.0000 0.0000
Br1 Br 0.5000 0.5000 0.2684
Br2 Br 0.0000 0.0000 0.7684
Br3 Br 0.5000 0.5000 0.7316
Br4 Br 0.0000 0.0000 0.2316
Br5 Br 0.7810 0.7053 0.5000
Br6 Br 0.2190 0.2947 0.5000
Br7 Br 0.7190 0.2053 0.0000
Br8 Br 0.2810 0.7947 0.0000
Br9 Br 0.7053 0.2190 0.5000
Br10 Br 0.2947 0.7810 0.5000
Br11 Br 0.2053 0.2810 0.0000
Br12 Br 0.7947 0.7190 0.0000
```

Results
corrected total energy (MP2020 scheme): -2.4035 eV per atom
symmetry: P4/mnc

Number 1: total DFT energy (no corrections) -1.1052 eV per atom, formation enthalpy at 0 K 0.107 eV/atom. Number 2: total DFT energy (no corrections) -7.8010 eV per atom, formation enthalpy at 0 K -3.152 eV/atom. Number 3: total DFT energy (no corrections) -3.8368 eV per atom, formation enthalpy at 0 K -2.305 eV/atom. Number 4: total DFT energy (no corrections) -5.1939 eV per atom, formation enthalpy at 0 K -3.699 eV/atom. Number 5: total DFT energy (no corrections) -4.0769 eV per atom, formation enthalpy at 0 K 0.121 eV/atom. Number 6: total DFT energy (no corrections) -7.1615 eV per atom, formation enthalpy at 0 K -1.214 eV/atom. Number 7: total DFT energy (no corrections) -4.5645 eV per atom, formation enthalpy at 0 K -0.094 eV/atom. Number 8: total DFT energy (no corrections) -1.9458 eV per atom, formation enthalpy at 0 K -0.551 eV/atom.